{"formula": "LuGe2Os", "functional": "PBE", "state": "optimized geometry", "dft_energy_ev_per_atom": -6.77, "lattice": [[2.342, 2.415, 7.648], [-8.339, 4.703, 1.068], [-4.378, -8.689, 4.085]], "species": ["Lu", "Lu", "Lu", "Lu", "Lu", "Lu", "Lu", "Lu", "Lu", "Lu", "Lu", "Lu", "Ge", "Ge", "Ge", "Ge", "Ge", "Ge", "Ge", "Ge", "Ge", "Ge", "Ge", "Ge", "Ge", "Ge", "Ge", "Ge", "Ge", "Ge", "Ge", "Ge", "Ge", "Ge", "Ge", "Ge", "Os", "Os", "Os", "Os", "Os", "Os", "Os", "Os", "Os", "Os", "Os", "Os"], "fractional_positions": [[0.246, 0.823, 0.450], [0.246, 0.177, 0.550], [0.754, 0.323, 0.050], [0.754, 0.677, 0.950], [0.754, 0.177, 0.550], [0.754, 0.823, 0.450], [0.246, 0.677, 0.950], [0.246, 0.323, 0.050], [0.000, 0.835, 0.177], [0.000, 0.165, 0.823], [0.000, 0.335, 0.323], [0.000, 0.665, 0.677], [0.347, 0.843, 0.180], [0.347, 0.157, 0.820], [0.653, 0.343, 0.320], [0.653, 0.657, 0.680], [0.653, 0.157, 0.820], [0.653, 0.843, 0.180], [0.347, 0.657, 0.680], [0.347, 0.343, 0.320], [0.500, 0.548, 0.117], [0.500, 0.452, 0.883], [0.500, 0.048, 0.383], [0.500, 0.952, 0.617], [0.000, 0.536, 0.118], [0.000, 0.464, 0.882], [0.000, 0.036, 0.382], [0.000, 0.964, 0.618], [0.500, 0.628, 0.405], [0.500, 0.372, 0.595], [0.500, 0.128, 0.095], [0.500, 0.872, 0.905], [0.000, 0.631, 0.400], [0.000, 0.369, 0.600], [0.000, 0.131, 0.100], [0.000, 0.869, 0.900], [0.250, 0.590, 0.236], [0.250, 0.410, 0.764], [0.750, 0.090, 0.264], [0.750, 0.910, 0.736], [0.750, 0.410, 0.764], [0.750, 0.590, 0.236], [0.250, 0.910, 0.736], [0.250, 0.090, 0.264], [0.248, 0.500, 0.500], [0.752, 0.000, 0.000], [0.752, 0.500, 0.500], [0.248, 0.000, 0.000]]}

=====

{"formula": "LuGePd2", "functional": "PBE", "state": "optimized geometry", "dft_energy_ev_per_atom": -5.78, "lattice": [[5.581, 0.000, 0.000], [0.000, 7.198, 0.000], [0.000, 0.000, 7.206]], "species": ["Lu", "Lu", "Lu", "Lu", "Ge", "Ge", "Ge", "Ge", "Pd", "Pd", "Pd", "Pd", "Pd", "Pd", "Pd", "Pd"], "fractional_positions": [[0.356, 0.750, 0.023], [0.144, 0.750, 0.523], [0.644, 0.250, 0.977], [0.856, 0.250, 0.477], [0.638, 0.750, 0.380], [0.862, 0.750, 0.880], [0.362, 0.250, 0.620], [0.138, 0.250, 0.120], [0.913, 0.551, 0.186], [0.587, 0.949, 0.686], [0.087, 0.051, 0.814], [0.413, 0.449, 0.314], [0.087, 0.449, 0.814], [0.413, 0.051, 0.314], [0.913, 0.949, 0.186], [0.587, 0.551, 0.686]]}

=====

{"formula": "LuGeRh", "functional": "PBE", "state": "optimized geometry", "dft_energy_ev_per_atom": -6.50, "lattice": [[-4.251, -0.010, -0.391], [0.370, -5.544, -3.872], [-0.554, -4.322, 6.135]], "species": ["Lu", "Lu", "Lu", "Lu", "Ge", "Ge", "Ge", "Ge", "Rh", "Rh", "Rh", "Rh"], "fractional_positions": [[0.750, 0.994, 0.197], [0.250, 0.006, 0.803], [0.750, 0.494, 0.303], [0.250, 0.506, 0.697], [0.250, 0.784, 0.391], [0.750, 0.716, 0.891], [0.750, 0.216, 0.609], [0.250, 0.284, 0.109], [0.250, 0.158, 0.436], [0.250, 0.658, 0.064], [0.750, 0.342, 0.936], [0.750, 0.842, 0.564]]}

=====

{"formula": "Lu3Ge2Rh2", "functional": "PBE", "state": "optimized geometry", "dft_energy_ev_per_atom": -6.30, "lattice": [[5.505, 0.000, 0.000], [0.000, 7.762, 0.000], [0.000, 0.000, 13.065]], "species": ["Lu", "Lu", "Lu", "Lu", "Lu", "Lu", "Lu", "Lu", "Lu", "Lu", "Lu", "Lu", "Ge", "Ge", "Ge", "Ge", "Ge", "Ge", "Ge", "Ge", "Rh", "Rh", "Rh", "Rh", "Rh", "Rh", "Rh", "Rh"], "fractional_positions": [[0.629, 0.253, 0.250], [0.371, 0.747, 0.750], [0.371, 0.753, 0.250], [0.629, 0.247, 0.750], [0.148, 0.394, 0.100], [0.852, 0.606, 0.900], [0.852, 0.606, 0.600], [0.852, 0.894, 0.400], [0.148, 0.394, 0.400], [0.148, 0.106, 0.600], [0.148, 0.106, 0.900], [0.852, 0.894, 0.100], [0.121, 0.110, 0.250], [0.879, 0.890, 0.750], [0.879, 0.610, 0.250], [0.121, 0.390, 0.750], [0.661, 0.250, 0.000], [0.339, 0.750, 0.000], [0.339, 0.750, 0.500], [0.661, 0.250, 0.500], [0.371, 0.039, 0.094], [0.629, 0.961, 0.906], [0.629, 0.961, 0.594], [0.629, 0.539, 0.406], [0.371, 0.039, 0.406], [0.371, 0.461, 0.594], [0.371, 0.461, 0.906], [0.629, 0.539, 0.094]]}